The following is a DFT calculation (GGA-PBE) of an optimized crystal structure of Zn7Cd2P6O24.

Mass density (g/cm³): 4.4
E (eV per atom): -6.05
Crystal system: triclinic
Energy of formation (eV per atom): -2.322
Magnetic moment (μB per formula unit): 0.0

abc: 5.998 11.595 27.336
angles: 89.42 86.18 89.88
Space group P1 (No. 1)
One atom of each set of equivalent atoms:
Zn  0.000  0.000  0.000 (multiplicity 1)
Zn  0.001  0.612  0.247 (multiplicity 1)
Zn  0.072  0.258  0.226 (multiplicity 1)
Zn  0.090  0.747  0.356 (multiplicity 1)
Zn  0.165  0.504  0.582 (multiplicity 1)
Zn  0.166  0.108  0.334 (multiplicity 1)
Zn  0.210  0.689  0.770 (multiplicity 1)
Zn  0.239  0.857  0.561 (multiplicity 1)
Zn  0.258  0.357  0.687 (multiplicity 1)
Zn  0.329  0.610  0.913 (multiplicity 1)
Zn  0.336  0.002  0.667 (multiplicity 1)
Zn  0.406  0.253  0.891 (multiplicity 1)
Zn  0.424  0.747  0.022 (multiplicity 1)
Zn  0.498  0.503  0.248 (multiplicity 1)
Zn  0.500  0.108  0.001 (multiplicity 1)
Zn  0.546  0.689  0.437 (multiplicity 1)
Zn  0.573  0.857  0.228 (multiplicity 1)
Zn  0.590  0.359  0.353 (multiplicity 1)
Zn  0.666  0.000  0.334 (multiplicity 1)
Zn  0.668  0.613  0.581 (multiplicity 1)
Zn  0.740  0.258  0.560 (multiplicity 1)
Zn  0.756  0.753  0.692 (multiplicity 1)
Zn  0.827  0.502  0.915 (multiplicity 1)
Zn  0.833  0.109  0.668 (multiplicity 1)
Zn  0.879  0.689  0.103 (multiplicity 1)
Zn  0.905  0.856  0.895 (multiplicity 1)
Zn  0.924  0.357  0.019 (multiplicity 1)
Zn  0.956  0.188  0.810 (multiplicity 1)
Cd  0.008  0.429  0.439 (multiplicity 1)
Cd  0.156  0.926  0.142 (multiplicity 1)
Cd  0.325  0.184  0.475 (multiplicity 1)
Cd  0.341  0.429  0.106 (multiplicity 1)
Cd  0.483  0.926  0.809 (multiplicity 1)
Cd  0.659  0.184  0.142 (multiplicity 1)
Cd  0.680  0.427  0.772 (multiplicity 1)
Cd  0.822  0.925  0.476 (multiplicity 1)
P  0.029  0.670  0.493 (multiplicity 1)
P  0.060  0.896  0.256 (multiplicity 1)
P  0.103  0.396  0.326 (multiplicity 1)
P  0.136  0.170  0.087 (multiplicity 1)
P  0.191  0.443  0.826 (multiplicity 1)
P  0.227  0.216  0.588 (multiplicity 1)
P  0.268  0.715  0.661 (multiplicity 1)
P  0.300  0.935  0.421 (multiplicity 1)
P  0.362  0.670  0.159 (multiplicity 1)
P  0.393  0.895  0.922 (multiplicity 1)
P  0.436  0.395  0.992 (multiplicity 1)
P  0.470  0.170  0.756 (multiplicity 1)
P  0.524  0.449  0.493 (multiplicity 1)
P  0.559  0.216  0.255 (multiplicity 1)
P  0.601  0.713  0.328 (multiplicity 1)
P  0.633  0.935  0.088 (multiplicity 1)
P  0.693  0.670  0.826 (multiplicity 1)
P  0.726  0.896  0.590 (multiplicity 1)
P  0.769  0.396  0.659 (multiplicity 1)
P  0.803  0.170  0.421 (multiplicity 1)
P  0.857  0.449  0.160 (multiplicity 1)
P  0.894  0.214  0.920 (multiplicity 1)
P  0.936  0.713  0.994 (multiplicity 1)
P  0.972  0.943  0.756 (multiplicity 1)
O  0.001  0.981  0.299 (multiplicity 1)
O  0.020  0.237  0.429 (multiplicity 1)
O  0.043  0.021  0.710 (multiplicity 1)
O  0.044  0.104  0.134 (multiplicity 1)
O  0.049  0.212  0.550 (multiplicity 1)
O  0.049  0.681  0.691 (multiplicity 1)
O  0.059  0.370  0.171 (multiplicity 1)
O  0.078  0.770  0.278 (multiplicity 1)
O  0.084  0.271  0.304 (multiplicity 1)
O  0.096  0.864  0.407 (multiplicity 1)
O  0.112  0.706  0.033 (multiplicity 1)
O  0.115  0.180  0.892 (multiplicity 1)
O  0.119  0.606  0.446 (multiplicity 1)
O  0.120  0.520  0.871 (multiplicity 1)
O  0.140  0.735  0.151 (multiplicity 1)
O  0.162  0.482  0.283 (multiplicity 1)
O  0.168  0.130  0.631 (multiplicity 1)
O  0.173  0.862  0.765 (multiplicity 1)
O  0.201  0.085  0.044 (multiplicity 1)
O  0.214  0.431  0.020 (multiplicity 1)
O  0.215  0.901  0.884 (multiplicity 1)
O  0.218  0.750  0.507 (multiplicity 1)
O  0.219  0.002  0.468 (multiplicity 1)
O  0.244  0.341  0.611 (multiplicity 1)
O  0.254  0.840  0.638 (multiplicity 1)
O  0.260  0.521  0.781 (multiplicity 1)
O  0.279  0.250  0.742 (multiplicity 1)
O  0.280  0.401  0.364 (multiplicity 1)
O  0.282  0.932  0.228 (multiplicity 1)
O  0.296  0.585  0.203 (multiplicity 1)
O  0.314  0.377  0.485 (multiplicity 1)
O  0.326  0.629  0.619 (multiplicity 1)
O  0.335  0.981  0.965 (multiplicity 1)
O  0.353  0.237  0.095 (multiplicity 1)
O  0.373  0.021  0.379 (multiplicity 1)
O  0.379  0.104  0.802 (multiplicity 1)
O  0.382  0.211  0.217 (multiplicity 1)
O  0.382  0.678  0.356 (multiplicity 1)
O  0.401  0.371  0.837 (multiplicity 1)
O  0.411  0.770  0.945 (multiplicity 1)
O  0.419  0.270  0.970 (multiplicity 1)
O  0.430  0.864  0.074 (multiplicity 1)
O  0.445  0.709  0.701 (multiplicity 1)
O  0.450  0.182  0.560 (multiplicity 1)
O  0.452  0.606  0.113 (multiplicity 1)
O  0.462  0.527  0.539 (multiplicity 1)
O  0.470  0.734  0.817 (multiplicity 1)
O  0.495  0.482  0.949 (multiplicity 1)
O  0.500  0.129  0.298 (multiplicity 1)
O  0.508  0.859  0.429 (multiplicity 1)
O  0.536  0.086  0.712 (multiplicity 1)
O  0.548  0.432  0.688 (multiplicity 1)
O  0.549  0.902  0.551 (multiplicity 1)
O  0.552  0.002  0.134 (multiplicity 1)
O  0.552  0.750  0.174 (multiplicity 1)
O  0.577  0.340  0.277 (multiplicity 1)
O  0.586  0.839  0.305 (multiplicity 1)
O  0.602  0.524  0.448 (multiplicity 1)
O  0.607  0.249  0.407 (multiplicity 1)
O  0.614  0.400  0.030 (multiplicity 1)
O  0.614  0.932  0.894 (multiplicity 1)
O  0.626  0.585  0.870 (multiplicity 1)
O  0.647  0.377  0.152 (multiplicity 1)
O  0.661  0.630  0.285 (multiplicity 1)
O  0.667  0.981  0.632 (multiplicity 1)
O  0.691  0.234  0.765 (multiplicity 1)
O  0.706  0.022  0.045 (multiplicity 1)
O  0.711  0.104  0.467 (multiplicity 1)
O  0.716  0.677  0.023 (multiplicity 1)
O  0.718  0.209  0.881 (multiplicity 1)
O  0.725  0.370  0.504 (multiplicity 1)
O  0.744  0.770  0.612 (multiplicity 1)
O  0.751  0.271  0.637 (multiplicity 1)
O  0.762  0.871  0.744 (multiplicity 1)
O  0.778  0.706  0.367 (multiplicity 1)
O  0.783  0.181  0.227 (multiplicity 1)
O  0.784  0.605  0.780 (multiplicity 1)
O  0.795  0.527  0.205 (multiplicity 1)
O  0.806  0.735  0.484 (multiplicity 1)
O  0.829  0.482  0.616 (multiplicity 1)
O  0.834  0.128  0.963 (multiplicity 1)
O  0.842  0.859  0.096 (multiplicity 1)
O  0.867  0.085  0.378 (multiplicity 1)
O  0.881  0.433  0.354 (multiplicity 1)
O  0.882  0.750  0.840 (multiplicity 1)
O  0.882  0.902  0.218 (multiplicity 1)
O  0.904  0.020  0.800 (multiplicity 1)
O  0.909  0.338  0.943 (multiplicity 1)
O  0.920  0.839  0.972 (multiplicity 1)
O  0.936  0.524  0.115 (multiplicity 1)
O  0.940  0.249  0.074 (multiplicity 1)
O  0.947  0.401  0.698 (multiplicity 1)
O  0.948  0.932  0.561 (multiplicity 1)
O  0.963  0.585  0.536 (multiplicity 1)
O  0.991  0.363  0.817 (multiplicity 1)
O  0.996  0.629  0.951 (multiplicity 1)